A relaxed structure of U2Bi2O7. Source: Materials Project, functional PBE.

a = 7.622 Å, b = 3.827 Å, c = 11.197 Å
α = 90.00°, β = 90.00°, γ = 90.00°
Sites, in units of the cell vectors:
U (0.000, 0.000, 0.000)
U (0.250, 0.500, 0.245)
U (0.500, 0.000, 0.000)
U (0.750, 0.500, 0.755)
Bi (0.000, 0.000, 0.500)
Bi (0.250, 0.500, 0.738)
Bi (0.500, 0.000, 0.500)
Bi (0.750, 0.500, 0.262)
O (0.013, 0.500, 0.367)
O (0.015, 0.500, 0.118)
O (0.250, 0.000, 0.122)
O (0.250, 0.000, 0.347)
O (0.250, 0.000, 0.894)
O (0.485, 0.500, 0.118)
O (0.487, 0.500, 0.367)
O (0.513, 0.500, 0.633)
O (0.515, 0.500, 0.882)
O (0.750, 0.000, 0.106)
O (0.750, 0.000, 0.653)
O (0.750, 0.000, 0.878)
O (0.985, 0.500, 0.882)
O (0.987, 0.500, 0.633)

Computed properties:
The total magnetic moment comes out at 0.217 μB per atom. The symmetry is No. 51. The calculation puts the formation enthalpy at 0 K at -2.76 eV/atom. As for the MP2020-corrected energy: -95.3 eV/f.u. The volume is 326.64 Å³/cell.